# Cs3Bi11Se18

Cs3Bi11Se18 after structural relaxation (PBE, the Materials Project database).

For the total energy, the calculation gives -3.9135 eV/atom. The crystal system is orthorhombic. The value obtained for the volume is 33.8 A^3/atom.

a b c (Å): 12.8331 14.0621 23.9597
angles (deg): 90.00 90.00 90.00
With the nearest neighbours (Å) after each atom.
Fractional positions:
Cs 0.2500 0.5446 0.6290  8 Se 3.72-3.98
Cs 0.5856 0.5349 0.6319  8 Se 3.72-4.10
Cs 0.9144 0.5349 0.6319  8 Se 3.72-4.10
Cs 0.2500 0.9554 0.1290  8 Se 3.72-3.98
Cs 0.5856 0.9651 0.1319  8 Se 3.72-4.10
Cs 0.9144 0.9651 0.1319  8 Se 3.72-4.10
Cs 0.0856 0.4651 0.3681  8 Se 3.72-4.10
Cs 0.4144 0.4651 0.3681  8 Se 3.72-4.10
Cs 0.7500 0.4554 0.3710  8 Se 3.72-3.98
Cs 0.0856 0.0349 0.8681  8 Se 3.72-4.10
Cs 0.4144 0.0349 0.8681  8 Se 3.72-4.10
Cs 0.7500 0.0446 0.8710  8 Se 3.72-3.98
Bi 0.0854 0.6672 0.8271  6 Se 2.80-3.13
Bi 0.4146 0.6672 0.8271  6 Se 2.80-3.13
Bi 0.7500 0.6600 0.8296  6 Se 2.85-3.07
Bi 0.0854 0.8328 0.3271  6 Se 2.80-3.13
Bi 0.4146 0.8328 0.3271  6 Se 2.80-3.13
Bi 0.7500 0.8400 0.3296  6 Se 2.85-3.07
Bi 0.2500 0.3400 0.1704  6 Se 2.85-3.07
Bi 0.5854 0.3328 0.1729  6 Se 2.80-3.13
Bi 0.9146 0.3328 0.1729  6 Se 2.80-3.13
Bi 0.2500 0.1600 0.6704  6 Se 2.85-3.07
Bi 0.5854 0.1672 0.6729  6 Se 2.80-3.13
Bi 0.9146 0.1672 0.6729  6 Se 2.80-3.13
Bi 0.0808 0.2741 0.5296  3 Se 2.73-2.87
Bi 0.4192 0.2741 0.5296  3 Se 2.73-2.87
Bi 0.7500 0.2639 0.5253  6 Se 2.87-3.15
Bi 0.0808 0.2259 0.0296  3 Se 2.73-2.87
Bi 0.4192 0.2259 0.0296  3 Se 2.73-2.87
Bi 0.7500 0.2361 0.0253  6 Se 2.87-3.15
Bi 0.2500 0.7361 0.4747  6 Se 2.87-3.15
Bi 0.5808 0.7259 0.4704  3 Se 2.73-2.87
Bi 0.9192 0.7259 0.4704  3 Se 2.73-2.87
Bi 0.2500 0.7639 0.9747  6 Se 2.87-3.15
Bi 0.5808 0.7741 0.9704  3 Se 2.73-2.87
Bi 0.9192 0.7741 0.9704  3 Se 2.73-2.87
Bi 0.0920 0.9504 0.5778  5 Se 2.82-3.10
Bi 0.4080 0.9504 0.5778  5 Se 2.82-3.10
Bi 0.7500 0.9669 0.5767  6 Se 2.88-3.12
Bi 0.0920 0.5496 0.0778  5 Se 2.82-3.10
Bi 0.4080 0.5496 0.0778  5 Se 2.82-3.10
Bi 0.7500 0.5331 0.0767  6 Se 2.88-3.12
Bi 0.2500 0.0331 0.4233  6 Se 2.88-3.12
Bi 0.5920 0.0496 0.4222  5 Se 2.82-3.10
Bi 0.9080 0.0496 0.4222  5 Se 2.82-3.10
Bi 0.2500 0.4669 0.9233  6 Se 2.88-3.12
Bi 0.5920 0.4504 0.9222  5 Se 2.82-3.10
Bi 0.9080 0.4504 0.9222  5 Se 2.82-3.10
Bi 0.5700 0.8402 0.7117  3 Se 2.70-2.91
Bi 0.9300 0.8402 0.7117  3 Se 2.70-2.91
Bi 0.5700 0.6598 0.2117  3 Se 2.70-2.91
Bi 0.9300 0.6598 0.2117  3 Se 2.70-2.91
Bi 0.0700 0.1598 0.2883  3 Se 2.70-2.91
Bi 0.4300 0.1598 0.2883  3 Se 2.70-2.91
Bi 0.0700 0.3402 0.7883  3 Se 2.70-2.91
Bi 0.4300 0.3402 0.7883  3 Se 2.70-2.91
Se 0.2500 0.8151 0.5961  3 Bi 2.82-3.11
Se 0.5850 0.8208 0.5974  3 Bi 2.76-2.99
Se 0.9150 0.8208 0.5974  3 Bi 2.76-2.99
Se 0.2500 0.6849 0.0961  3 Bi 2.82-3.11
Se 0.5850 0.6792 0.0974  3 Bi 2.76-2.99
Se 0.9150 0.6792 0.0974  3 Bi 2.76-2.99
Se 0.0850 0.1792 0.4026  3 Bi 2.76-2.99
Se 0.4150 0.1792 0.4026  3 Bi 2.76-2.99
Se 0.7500 0.1849 0.4039  3 Bi 2.82-3.11
Se 0.0850 0.3208 0.9026  3 Bi 2.76-2.99
Se 0.4150 0.3208 0.9026  3 Bi 2.76-2.99
Se 0.7500 0.3151 0.9039  3 Bi 2.82-3.11
Se 0.0837 0.7095 0.7130  2 Bi 2.70-2.80
Se 0.4163 0.7095 0.7130  2 Bi 2.70-2.80
Se 0.7500 0.7149 0.7150  3 Bi 2.85-2.91
Se 0.0837 0.7905 0.2130  2 Bi 2.70-2.80
Se 0.4163 0.7905 0.2130  2 Bi 2.70-2.80
Se 0.7500 0.7851 0.2150  3 Bi 2.85-2.91
Se 0.2500 0.2851 0.2850  3 Bi 2.85-2.91
Se 0.5837 0.2905 0.2870  2 Bi 2.70-2.80
Se 0.9163 0.2905 0.2870  2 Bi 2.70-2.80
Se 0.2500 0.2149 0.7850  3 Bi 2.85-2.91
Se 0.5837 0.2095 0.7870  2 Bi 2.70-2.80
Se 0.9163 0.2095 0.7870  2 Bi 2.70-2.80
Se 0.2500 0.8053 0.8567  3 Bi 2.89-2.96
Se 0.5880 0.8056 0.8522  3 Bi 2.87-3.02
Se 0.9120 0.8056 0.8522  3 Bi 2.87-3.02
Se 0.2500 0.6947 0.3567  3 Bi 2.89-2.96
Se 0.5880 0.6944 0.3522  3 Bi 2.87-3.02
Se 0.9120 0.6944 0.3522  3 Bi 2.87-3.02
Se 0.0880 0.1944 0.1478  3 Bi 2.87-3.02
Se 0.4120 0.1944 0.1478  3 Bi 2.87-3.02
Se 0.7500 0.1947 0.1433  3 Bi 2.89-2.96
Se 0.0880 0.3056 0.6478  3 Bi 2.87-3.02
Se 0.4120 0.3056 0.6478  3 Bi 2.87-3.02
Se 0.7500 0.3053 0.6433  3 Bi 2.89-2.96
Se 0.2500 0.1002 0.5472  6 Bi 3.01-3.30
Se 0.5836 0.1040 0.5476  6 Bi 2.96-3.22
Se 0.9164 0.1040 0.5476  6 Bi 2.96-3.22
Se 0.2500 0.3998 0.0472  6 Bi 3.01-3.30
Se 0.5836 0.3960 0.0476  6 Bi 2.96-3.22
Se 0.9164 0.3960 0.0476  6 Bi 2.96-3.22
Se 0.0836 0.8960 0.4524  6 Bi 2.96-3.22
Se 0.4164 0.8960 0.4524  6 Bi 2.96-3.22
Se 0.7500 0.8998 0.4528  6 Bi 3.01-3.30
Se 0.0836 0.6040 0.9524  6 Bi 2.96-3.22
Se 0.4164 0.6040 0.9524  6 Bi 2.96-3.22
Se 0.7500 0.6002 0.9528  6 Bi 3.01-3.30
Se 0.0808 0.6088 0.4983  2 Bi 2.73-2.87
Se 0.4192 0.6088 0.4983  2 Bi 2.73-2.87
Se 0.7500 0.6082 0.4975  2 Bi 2.81
Se 0.0808 0.8912 0.9983  2 Bi 2.73-2.87
Se 0.4192 0.8912 0.9983  2 Bi 2.73-2.87
Se 0.7500 0.8918 0.9975  2 Bi 2.81
Se 0.2500 0.3918 0.5025  2 Bi 2.81
Se 0.5808 0.3912 0.5017  2 Bi 2.73-2.87
Se 0.9192 0.3912 0.5017  2 Bi 2.73-2.87
Se 0.2500 0.1082 0.0025  2 Bi 2.81
Se 0.5808 0.1088 0.0017  2 Bi 2.73-2.87
Se 0.9192 0.1088 0.0017  2 Bi 2.73-2.87
Se 0.0785 0.0166 0.6913  4 Bi 2.88-3.17
Se 0.4215 0.0166 0.6913  4 Bi 2.88-3.17
Se 0.7500 0.0199 0.6928  3 Bi 2.88-3.00
Se 0.0785 0.4834 0.1913  4 Bi 2.88-3.17
Se 0.4215 0.4834 0.1913  4 Bi 2.88-3.17
Se 0.7500 0.4801 0.1928  3 Bi 2.88-3.00
Se 0.2500 0.9801 0.3072  3 Bi 2.88-3.00
Se 0.5785 0.9834 0.3087  4 Bi 2.88-3.17
Se 0.9215 0.9834 0.3087  4 Bi 2.88-3.17
Se 0.2500 0.5199 0.8072  3 Bi 2.88-3.00
Se 0.5785 0.5166 0.8087  4 Bi 2.88-3.17
Se 0.9215 0.5166 0.8087  4 Bi 2.88-3.17